Record 1
Density functional theory data (r2SCAN) for a relaxed Yb3Sc crystal.

a b c (Å): 6.906 6.906 5.578
angles (deg): 90.00 90.00 120.00
Element x y z (fractional)
Yb 0.168 0.337 0.250
Yb 0.168 0.832 0.250
Yb 0.337 0.168 0.750
Yb 0.663 0.832 0.250
Yb 0.832 0.168 0.750
Yb 0.832 0.663 0.750
Sc 0.333 0.667 0.750
Sc 0.667 0.333 0.250

Values from the calculation:
ΔE_f, eV/atom: -0.02

=====

Record 2
Density functional theory data (r2SCAN) for a relaxed ScZn3 crystal.

a b c (Å): 5.866 5.866 4.333
angles (deg): 90.00 90.00 120.00
Element x y z (fractional)
Sc 0.333 0.667 0.250
Sc 0.667 0.333 0.750
Zn 0.157 0.315 0.750
Zn 0.157 0.843 0.750
Zn 0.315 0.157 0.250
Zn 0.685 0.843 0.750
Zn 0.843 0.157 0.250
Zn 0.843 0.685 0.250

Values from the calculation:
ΔE_f, eV/atom: -0.32

=====

Record 3
Density functional theory data (r2SCAN) for a relaxed ScZn12 crystal.

a b c (Å): 6.646 6.646 5.071
angles (deg): 112.37 112.37 81.71
Element x y z (fractional)
Sc 0.000 0.000 0.000
Zn 0.000 0.500 0.000
Zn 0.000 0.500 0.500
Zn 0.214 0.214 0.714
Zn 0.214 0.786 0.500
Zn 0.351 0.351 0.351
Zn 0.352 0.648 0.000
Zn 0.500 0.000 0.000
Zn 0.500 0.000 0.500
Zn 0.648 0.352 0.000
Zn 0.649 0.649 0.649
Zn 0.786 0.214 0.500
Zn 0.786 0.786 0.286

Values from the calculation:
ΔE_f, eV/atom: -0.15

=====

Record 4
Density functional theory data (r2SCAN) for a relaxed ScZn3 crystal.

a b c (Å): 4.464 4.464 4.464
angles (deg): 60.00 60.00 60.00
Element x y z (fractional)
Sc 0.000 0.000 0.000
Zn 0.250 0.250 0.250
Zn 0.500 0.500 0.500
Zn 0.750 0.750 0.750

Values from the calculation:
ΔE_f, eV/atom: -0.30

=====

Record 5
Density functional theory data (r2SCAN) for a relaxed ScZn crystal.

a b c (Å): 3.334 3.334 3.334
angles (deg): 90.00 90.00 90.00
Element x y z (fractional)
Sc 0.000 0.000 0.000
Zn 0.500 0.500 0.500

Values from the calculation:
ΔE_f, eV/atom: -0.40

=====

Record 6
Density functional theory data (r2SCAN) for a relaxed ZrSc2 crystal.

a b c (Å): 6.182 6.182 7.651
angles (deg): 102.92 102.92 30.87
Element x y z (fractional)
Zr 0.022 0.022 0.308
Zr 0.978 0.978 0.692
Sc 0.308 0.308 0.362
Sc 0.366 0.366 0.970
Sc 0.634 0.634 0.030
Sc 0.692 0.692 0.638

Values from the calculation:
ΔE_f, eV/atom: 0.00

=====

- Among the records above, which one has the highest ΔE_f?
  ZrSc2